Material: CdH12C2S2N8Cl2
Method: DFT, PBE
State: relaxed

- Corrected total energy (MP2020 scheme): -291.513 eV per cell
- Energy of formation: -676 kJ/mol of formula units

a = 8.8919 Å, b = 6.1585 Å, c = 14.4635 Å
α = 90.00°, β = 121.17°, γ = 90.00°
Sites, in units of the cell vectors:
Cd (0.0000, 0.0000, 0.0000)
Cd (0.0000, 0.5000, 0.5000)
H (0.0843, 0.0979, 0.4273)
H (0.0843, 0.4021, 0.9273)
H (0.1177, 0.1974, 0.8654)
H (0.1177, 0.3026, 0.3654)
H (0.2263, 0.7083, 0.8566)
H (0.2263, 0.7917, 0.3566)
H (0.3078, 0.5825, 0.7893)
H (0.3078, 0.9175, 0.2893)
H (0.3439, 0.5177, 0.2929)
H (0.3439, 0.9823, 0.7929)
H (0.3895, 0.1127, 0.5135)
H (0.3895, 0.3873, 0.0135)
H (0.6105, 0.6127, 0.9865)
H (0.6105, 0.8873, 0.4865)
H (0.6561, 0.0177, 0.2071)
H (0.6561, 0.4823, 0.7071)
H (0.6922, 0.0825, 0.7107)
H (0.6922, 0.4175, 0.2107)
H (0.7737, 0.2083, 0.6434)
H (0.7737, 0.2917, 0.1434)
H (0.8823, 0.6974, 0.6346)
H (0.8823, 0.8026, 0.1346)
H (0.9157, 0.5979, 0.0727)
H (0.9157, 0.9021, 0.5727)
C (0.4095, 0.0978, 0.0849)
C (0.4095, 0.4022, 0.5849)
C (0.5905, 0.5978, 0.4151)
C (0.5905, 0.9022, 0.9151)
S (0.3245, 0.6411, 0.5971)
S (0.3245, 0.8589, 0.0971)
S (0.6755, 0.1411, 0.9029)
S (0.6755, 0.3589, 0.4029)
N (0.1377, 0.2478, 0.9388)
N (0.1377, 0.2522, 0.4388)
N (0.3178, 0.2412, 0.5151)
N (0.3178, 0.2588, 0.0151)
N (0.3394, 0.6736, 0.8566)
N (0.3394, 0.8264, 0.3566)
N (0.4162, 0.6301, 0.3520)
N (0.4162, 0.8699, 0.8520)
N (0.5838, 0.1301, 0.1480)
N (0.5838, 0.3699, 0.6480)
N (0.6606, 0.1736, 0.6434)
N (0.6606, 0.3264, 0.1434)
N (0.6822, 0.7412, 0.9849)
N (0.6822, 0.7588, 0.4849)
N (0.8623, 0.7478, 0.5612)
N (0.8623, 0.7522, 0.0612)
Cl (0.0790, 0.2048, 0.6639)
Cl (0.0790, 0.2952, 0.1639)
Cl (0.9210, 0.7048, 0.8361)
Cl (0.9210, 0.7952, 0.3361)